1.
Er3Os: optimized geometry, GGA-PBE. Values from VASP.

## Properties
**E_form**: -1.17 eV per formula unit

Cell and atoms, written as Quantum ESPRESSO input:
```
&SYSTEM
  ibrav = 0, nat = 16, ntyp = 2
/
ATOMIC_SPECIES
Er 167.26 Er.upf
Os 190.23 Os.upf
ATOMIC_POSITIONS angstrom
Er 4.958 0.560 2.075
Er 1.293 3.935 1.044
Er 2.371 5.054 4.163
Er 6.036 8.430 5.193
Er 2.371 8.430 4.163
Er 6.036 5.054 5.193
Er 4.958 3.935 2.075
Er 1.293 0.560 1.044
Er 3.932 2.247 5.422
Er 0.268 2.247 3.934
Er 3.397 6.742 0.816
Er 7.061 6.742 2.303
Os 6.468 2.247 0.270
Os 2.803 2.247 2.849
Os 0.861 6.742 5.968
Os 4.526 6.742 3.388
CELL_PARAMETERS angstrom
0.000 0.000 6.237
7.329 0.000 0.000
0.000 8.990 0.000
```

2.
Er2OsPd: optimized geometry, GGA-PBE. Values from VASP.

## Properties
**E_form**: -2.42 eV per formula unit

Cell and atoms, written as Quantum ESPRESSO input:
```
&SYSTEM
  ibrav = 0, nat = 4, ntyp = 3
/
ATOMIC_SPECIES
Er 167.26 Er.upf
Os 190.23 Os.upf
Pd 106.42 Pd.upf
ATOMIC_POSITIONS angstrom
Er -8.045 -3.117 2.140
Er -2.682 -1.039 0.713
Os 0.000 0.000 0.000
Pd -5.363 -2.078 1.426
CELL_PARAMETERS angstrom
-3.474 0.013 3.367
-4.651 -0.169 -1.322
-2.601 -3.999 0.808
```

3.
Er3Si13Os4: optimized geometry, GGA-PBE. Values from VASP.

## Properties
**E_form**: -9.15 eV per formula unit

Cell and atoms, written as Quantum ESPRESSO input:
```
&SYSTEM
  ibrav = 0, nat = 40, ntyp = 3
/
ATOMIC_SPECIES
Er 167.26 Er.upf
Si 28.09 Si.upf
Os 190.23 Os.upf
ATOMIC_POSITIONS angstrom
Er 0.000 4.400 6.600
Er 4.400 2.200 0.000
Er 6.600 0.000 4.400
Er 0.000 4.400 2.200
Er 4.400 6.600 0.000
Er 2.200 0.000 4.400
Si 4.400 4.400 4.400
Si 0.000 0.000 0.000
Si 6.880 3.193 4.400
Si 5.607 4.400 6.880
Si 4.400 1.920 5.607
Si 1.920 5.607 4.400
Si 3.193 4.400 1.920
Si 4.400 6.880 3.193
Si 6.880 5.607 4.400
Si 5.607 4.400 1.920
Si 1.920 3.193 4.400
Si 3.193 4.400 6.880
Si 4.400 6.880 5.607
Si 4.400 1.920 3.193
Si 2.480 0.000 7.593
Si 1.207 2.480 0.000
Si 0.000 1.207 6.319
Si 6.319 0.000 1.207
Si 7.593 6.319 0.000
Si 0.000 7.593 2.480
Si 2.480 0.000 1.207
Si 1.207 6.319 0.000
Si 6.319 0.000 7.593
Si 7.593 2.480 0.000
Si 0.000 1.207 2.480
Si 0.000 7.593 6.319
Os 6.600 2.200 6.600
Os 2.200 6.600 2.200
Os 6.600 6.600 2.200
Os 2.200 2.200 6.600
Os 2.200 6.600 6.600
Os 6.600 2.200 2.200
Os 2.200 2.200 2.200
Os 6.600 6.600 6.600
CELL_PARAMETERS angstrom
8.800 0.000 0.000
0.000 8.800 0.000
0.000 0.000 8.800
```

4.
ErTaOs2: optimized geometry, GGA-PBE. Values from VASP.

## Properties
**E_form**: -1.13 eV per formula unit

Cell and atoms, written as Quantum ESPRESSO input:
```
&SYSTEM
  ibrav = 0, nat = 4, ntyp = 3
/
ATOMIC_SPECIES
Er 167.26 Er.upf
Ta 180.95 Ta.upf
Os 190.23 Os.upf
ATOMIC_POSITIONS angstrom
Er -4.383 -0.155 3.588
Ta 0.000 0.000 0.000
Os -2.191 -0.077 1.794
Os -6.574 -0.232 5.381
CELL_PARAMETERS angstrom
-3.778 -2.360 1.249
-1.229 -0.210 4.455
-3.759 2.261 1.471
```

5.
Er3P: optimized geometry, GGA-PBE. Values from VASP.

## Properties
**E_form**: -1.30 eV per formula unit

Cell and atoms, written as Quantum ESPRESSO input:
```
&SYSTEM
  ibrav = 0, nat = 4, ntyp = 2
/
ATOMIC_SPECIES
Er 167.26 Er.upf
P 30.97 P.upf
ATOMIC_POSITIONS angstrom
Er 2.380 -2.326 0.320
Er 0.237 -2.161 2.540
Er 3.408 -1.551 3.405
P 0.000 0.000 0.000
CELL_PARAMETERS angstrom
5.551 -1.715 1.185
1.265 -1.386 5.625
-4.199 -1.387 -3.951
```

6.
ErP2Pd2: optimized geometry, GGA-PBE. Values from VASP.

## Properties
**E_form**: -4.52 eV per formula unit

Cell and atoms, written as Quantum ESPRESSO input:
```
&SYSTEM
  ibrav = 0, nat = 5, ntyp = 3
/
ATOMIC_SPECIES
Er 167.26 Er.upf
P 30.97 P.upf
Pd 106.42 Pd.upf
ATOMIC_POSITIONS angstrom
Er 0.000 0.000 0.000
P -3.340 0.470 1.887
P -5.232 0.737 2.955
Pd -3.079 -0.904 -0.147
Pd -2.566 1.932 0.054
CELL_PARAMETERS angstrom
-4.799 -2.233 2.220
-3.773 3.439 2.622
2.926 -0.179 -4.934
```